VASP calculation (GGA-PBE) on a relaxed structure of CuAuF5.

Cell: 3.789 5.144 5.545 Å, 90.59 98.50 107.43°
Space group P-1 (No. 2)
Inequivalent atoms, fractional coordinates:
Cu  0.000  0.000  0.000 x1
Au  0.000  0.500  0.500 x1
F  0.117  0.347  0.819 x2
F  0.181  0.229  0.335 x2
F  0.500  0.000  0.000 x1

E (MP2020), eV per atom: -3.968

---

VASP calculation (GGA-PBE) on a relaxed structure of NdGa4Ni.

Cell: 4.214 15.575 6.542 Å, 90.00 90.00 90.00°
Space group Cmcm (No. 63)
Inequivalent atoms, fractional coordinates:
Nd  0.000  0.117  0.250 x4
Ga  0.000  0.073  0.750 x4
Ga  0.000  0.313  0.052 x8
Ga  0.000  0.500  0.000 x4
Ni  0.000  0.223  0.750 x4

---

VASP calculation (GGA-PBE) on a relaxed structure of Re5H4C20O20.

Cell: 9.944 19.675 21.709 Å, 90.00 101.03 90.00°
Space group P2_1/c (No. 14)
Inequivalent atoms, fractional coordinates:
Re  0.060  0.083  0.140 x4
Re  0.152  0.014  0.667 x4
Re  0.160  0.567  0.832 x4
Re  0.181  0.567  0.690 x4
Re  0.208  0.609  0.283 x4
H  0.009  0.036  0.708 x4
H  0.049  0.572  0.300 x4
H  0.123  0.020  0.202 x4
H  0.164  0.526  0.245 x4
C  0.009  0.105  0.821 x4
C  0.019  0.658  0.414 x4
C  0.043  0.555  0.111 x4
C  0.055  0.517  0.419 x4
C  0.075  0.659  0.820 x4
C  0.087  0.669  0.222 x4
C  0.133  0.081  0.600 x4
C  0.170  0.150  0.198 x4
C  0.181  0.563  0.922 x4
C  0.191  0.582  0.604 x4
C  0.212  0.078  0.095 x4
C  0.225  0.029  0.328 x4
C  0.258  0.657  0.710 x4
C  0.259  0.684  0.342 x4
C  0.263  0.084  0.724 x4
C  0.319  0.518  0.142 x4
C  0.319  0.547  0.346 x4
C  0.347  0.602  0.842 x4
C  0.362  0.523  0.714 x4
C  0.366  0.633  0.246 x4
O  0.017  0.095  0.422 x4
O  0.017  0.705  0.188 x4
O  0.019  0.710  0.811 x4
O  0.062  0.703  0.447 x4
O  0.119  0.126  0.830 x4
O  0.122  0.020  0.953 x4
O  0.127  0.124  0.563 x4
O  0.197  0.561  0.976 x4
O  0.199  0.593  0.552 x4
O  0.231  0.192  0.229 x4
O  0.259  0.085  0.326 x4
O  0.298  0.728  0.376 x4
O  0.306  0.077  0.071 x4
O  0.308  0.710  0.722 x4
O  0.332  0.123  0.754 x4
O  0.384  0.512  0.383 x4
O  0.417  0.535  0.125 x4
O  0.459  0.622  0.848 x4
O  0.461  0.649  0.226 x4
O  0.466  0.004  0.230 x4

E (MP2020), eV per atom: -8.229
Total magnetic moment, μB/cell: 4.00

---

What did we get for E_form? Answer: -10.8 -3.3 -43.9 eV/f.u., in the order shown.